1.
The following is a DFT calculation (GGA-PBE) of a geometry-optimized CeAu6 structure.

Calculated values
E_form = -0.38 eV per atom
mass density = 15.566 Mg/m³

abc: 5.5523 5.5523 9.3145
angles: 82.35 82.35 89.66
Last column: nearest neighbours and their distance in Å.
Element x y z (fractional)
Ce (0.3152, 0.6848, 0.7500)  14 Au 3.18-3.35
Ce (0.6848, 0.3152, 0.2500)  14 Au 3.18-3.35
Au (0.0416, 0.1561, 0.8642)  8 Au 2.77-3.01
Au (0.8439, 0.9584, 0.6358)  8 Au 2.77-3.01
Au (0.9584, 0.8439, 0.1358)  8 Au 2.77-3.01
Au (0.1561, 0.0416, 0.3642)  8 Au 2.77-3.01
Au (0.7782, 0.6176, 0.9187)  6 Au 2.81-3.01
Au (0.3824, 0.2218, 0.5813)  6 Au 2.81-3.01
Au (0.2218, 0.3824, 0.0813)  6 Au 2.81-3.01
Au (0.6176, 0.7782, 0.4187)  6 Au 2.81-3.01
Au (0.8350, 0.4585, 0.6284)  8 Au 2.77-2.95
Au (0.5415, 0.1650, 0.8716)  8 Au 2.77-2.95
Au (0.1650, 0.5415, 0.3716)  8 Au 2.77-2.95
Au (0.4585, 0.8350, 0.1284)  8 Au 2.77-2.95

=====

2.
The following is a DFT calculation (GGA-PBE) of a geometry-optimized Mg14ZnNi structure.

Calculated values
E_form = 0.01 eV per atom
mass density = 2.320 Mg/m³

abc: 6.2592 6.2592 9.7959
angles: 90.00 90.00 120.00
Last column: nearest neighbours and their distance in Å.
Element x y z (fractional)
Mg (0.1665, 0.8332, 0.1250)  10 Mg 3.03-3.13, 2 Zn 3.13
Mg (0.1643, 0.8321, 0.6250)  10 Mg 3.03-3.15, 2 Ni 3.13
Mg (0.6668, 0.3335, 0.1250)  10 Mg 3.03-3.13, 2 Zn 3.13
Mg (0.6679, 0.3357, 0.6250)  10 Mg 3.03-3.15, 2 Ni 3.13
Mg (0.6668, 0.8332, 0.1250)  10 Mg 3.03-3.13, 2 Zn 3.13
Mg (0.6679, 0.8321, 0.6250)  10 Mg 3.03-3.15, 2 Ni 3.13
Mg (0.3261, 0.1739, 0.3797)  1 Ni 2.96, 10 Mg 2.99-3.27, 1 Zn 3.04
Mg (0.3261, 0.1739, 0.8703)  1 Ni 2.96, 10 Mg 2.99-3.27, 1 Zn 3.04
Mg (0.3261, 0.6521, 0.3797)  1 Ni 2.96, 10 Mg 2.99-3.27, 1 Zn 3.04
Mg (0.3261, 0.6521, 0.8703)  1 Ni 2.96, 10 Mg 2.99-3.27, 1 Zn 3.04
Mg (0.8479, 0.1739, 0.3797)  1 Ni 2.96, 10 Mg 2.99-3.27, 1 Zn 3.04
Mg (0.8479, 0.1739, 0.8703)  1 Ni 2.96, 10 Mg 2.99-3.27, 1 Zn 3.04
Mg (0.8333, 0.6667, 0.3734)  12 Mg 3.03-3.13
Mg (0.8333, 0.6667, 0.8766)  12 Mg 3.03-3.13
Zn (0.1667, 0.3333, 0.1250)  12 Mg 3.04-3.13
Ni (0.1667, 0.3333, 0.6250)  12 Mg 2.96-3.13

=====

3.
The following is a DFT calculation (GGA-PBE) of a geometry-optimized LiEr2Au structure.

Calculated values
E_form = -0.42 eV per atom
mass density = 9.757 Mg/m³

abc: 5.0605 5.0605 5.0605
angles: 60.00 60.00 60.00
Last column: nearest neighbours and their distance in Å.
Element x y z (fractional)
Li (0.0000, 0.0000, 0.0000)  8 Er 3.10
Er (0.7500, 0.7500, 0.7500)  4 Au 3.10, 4 Li 3.10
Er (0.2500, 0.2500, 0.2500)  4 Au 3.10, 4 Li 3.10
Au (0.5000, 0.5000, 0.5000)  8 Er 3.10

=====

4.
The following is a DFT calculation (GGA-PBE) of a geometry-optimized FeNi5N4 structure.

Calculated values
E_form = 0.05 eV per atom
mass density = 6.639 Mg/m³

abc: 8.5606 5.8043 4.0805
angles: 90.00 90.00 90.00
Last column: nearest neighbours and their distance in Å.
Element x y z (fractional)
Fe (0.7500, 0.2500, 0.7226)  4 N 1.77-1.85
Fe (0.2500, 0.7500, 0.2774)  4 N 1.77-1.85
Ni (0.5892, 0.5362, 0.2859)  3 N 1.81-1.94
Ni (0.9108, 0.5362, 0.2859)  3 N 1.81-1.94
Ni (0.5892, 0.9638, 0.2859)  3 N 1.81-1.94
Ni (0.9108, 0.9638, 0.2859)  3 N 1.81-1.94
Ni (0.4108, 0.4638, 0.7141)  3 N 1.81-1.94
Ni (0.0892, 0.4638, 0.7141)  3 N 1.81-1.94
Ni (0.4108, 0.0362, 0.7141)  3 N 1.81-1.94
Ni (0.0892, 0.0362, 0.7141)  3 N 1.81-1.94
Ni (0.7500, 0.7500, 0.7973)  2 N 1.81
Ni (0.2500, 0.2500, 0.2027)  2 N 1.81
N (0.7500, 0.0234, 0.0118)  1 Fe 1.77, 3 Ni 1.81
N (0.7500, 0.4766, 0.0118)  1 Fe 1.77, 3 Ni 1.81
N (0.2500, 0.9766, 0.9882)  1 Fe 1.77, 3 Ni 1.81
N (0.2500, 0.5234, 0.9882)  1 Fe 1.77, 3 Ni 1.81
N (0.4425, 0.7500, 0.4827)  1 Fe 1.85, 4 Ni 1.93-1.94
N (0.0575, 0.7500, 0.4827)  1 Fe 1.85, 4 Ni 1.93-1.94
N (0.5575, 0.2500, 0.5173)  1 Fe 1.85, 4 Ni 1.93-1.94
N (0.9425, 0.2500, 0.5173)  1 Fe 1.85, 4 Ni 1.93-1.94

=====

5.
The following is a DFT calculation (GGA-PBE) of a geometry-optimized Y3Ge13Ir4 structure.

Calculated values
E_form = -0.52 eV per atom
mass density = 8.908 Mg/m³

abc: 9.0374 9.0374 9.0374
angles: 90.00 90.00 90.00
Last column: nearest neighbours and their distance in Å.
Element x y z (fractional)
Y (0.0000, 0.5000, 0.7500)  12 Ge 3.14-3.24, 4 Ir 3.20
Y (0.5000, 0.2500, 0.0000)  12 Ge 3.14-3.24, 4 Ir 3.20
Y (0.7500, 0.0000, 0.5000)  12 Ge 3.14-3.24, 4 Ir 3.20
Y (0.0000, 0.5000, 0.2500)  12 Ge 3.14-3.24, 4 Ir 3.20
Y (0.5000, 0.7500, 0.0000)  12 Ge 3.14-3.24, 4 Ir 3.20
Y (0.2500, 0.0000, 0.5000)  12 Ge 3.14-3.24, 4 Ir 3.20
Ge (0.5000, 0.5000, 0.5000)  12 Ge 3.08
Ge (0.0000, 0.0000, 0.0000)  12 Ge 3.08
Ge (0.8084, 0.3537, 0.5000)  2 Ir 2.50, 1 Ge 2.65
Ge (0.6463, 0.5000, 0.8084)  2 Ir 2.50, 1 Ge 2.65
Ge (0.5000, 0.1916, 0.6463)  2 Ir 2.50, 1 Ge 2.65
Ge (0.1916, 0.6463, 0.5000)  2 Ir 2.50, 1 Ge 2.65
Ge (0.3537, 0.5000, 0.1916)  2 Ir 2.50, 1 Ge 2.65
Ge (0.5000, 0.8084, 0.3537)  2 Ir 2.50, 1 Ge 2.65
Ge (0.8084, 0.6463, 0.5000)  2 Ir 2.50, 1 Ge 2.65
Ge (0.6463, 0.5000, 0.1916)  2 Ir 2.50, 1 Ge 2.65
Ge (0.1916, 0.3537, 0.5000)  2 Ir 2.50, 1 Ge 2.65
Ge (0.3537, 0.5000, 0.8084)  2 Ir 2.50, 1 Ge 2.65
Ge (0.5000, 0.8084, 0.6463)  2 Ir 2.50, 1 Ge 2.65
Ge (0.5000, 0.1916, 0.3537)  2 Ir 2.50, 1 Ge 2.65
Ge (0.3084, 0.0000, 0.8537)  2 Ir 2.50, 1 Ge 2.65
Ge (0.1463, 0.3084, 0.0000)  2 Ir 2.50, 1 Ge 2.65
Ge (0.0000, 0.1463, 0.6916)  2 Ir 2.50, 1 Ge 2.65
Ge (0.6916, 0.0000, 0.1463)  2 Ir 2.50, 1 Ge 2.65
Ge (0.8537, 0.6916, 0.0000)  2 Ir 2.50, 1 Ge 2.65
Ge (0.0000, 0.8537, 0.3084)  2 Ir 2.50, 1 Ge 2.65
Ge (0.3084, 0.0000, 0.1463)  2 Ir 2.50, 1 Ge 2.65
Ge (0.1463, 0.6916, 0.0000)  2 Ir 2.50, 1 Ge 2.65
Ge (0.6916, 0.0000, 0.8537)  2 Ir 2.50, 1 Ge 2.65
Ge (0.8537, 0.3084, 0.0000)  2 Ir 2.50, 1 Ge 2.65
Ge (0.0000, 0.1463, 0.3084)  2 Ir 2.50, 1 Ge 2.65
Ge (0.0000, 0.8537, 0.6916)  2 Ir 2.50, 1 Ge 2.65
Ir (0.7500, 0.2500, 0.7500)  6 Ge 2.50
Ir (0.2500, 0.7500, 0.2500)  6 Ge 2.50
Ir (0.7500, 0.7500, 0.2500)  6 Ge 2.50
Ir (0.2500, 0.2500, 0.7500)  6 Ge 2.50
Ir (0.2500, 0.7500, 0.7500)  6 Ge 2.50
Ir (0.7500, 0.2500, 0.2500)  6 Ge 2.50
Ir (0.2500, 0.2500, 0.2500)  6 Ge 2.50
Ir (0.7500, 0.7500, 0.7500)  6 Ge 2.50

=====

6.
The following is a DFT calculation (GGA-PBE) of a geometry-optimized Ba6Ti5S15O structure.

Calculated values
E_form = -2.10 eV per atom
mass density = 4.029 Mg/m³

abc: 8.6028 8.6028 24.0121
angles: 90.00 90.00 133.64
Last column: nearest neighbours and their distance in Å.
Element x y z (fractional)
Ba (0.3794, 0.1811, 0.3221)  9 S 3.17-3.44, 1 O 3.44
Ba (0.6206, 0.8189, 0.8221)  9 S 3.17-3.44, 1 O 3.44
Ba (0.0979, 0.3148, 0.1638)  9 S 3.18-3.49
Ba (0.1553, 0.4446, 0.4829)  9 S 3.26-3.43
Ba (0.8189, 0.6206, 0.1779)  9 S 3.17-3.44, 1 O 3.44
Ba (0.8447, 0.5554, 0.9829)  9 S 3.26-3.43
Ba (0.5554, 0.8447, 0.0171)  9 S 3.26-3.43
Ba (0.1811, 0.3794, 0.6779)  9 S 3.17-3.44, 1 O 3.44
Ba (0.9021, 0.6852, 0.6638)  9 S 3.18-3.49
Ba (0.3148, 0.0979, 0.8362)  9 S 3.18-3.49
Ba (0.4446, 0.1553, 0.5171)  9 S 3.26-3.43
Ba (0.6852, 0.9021, 0.3362)  9 S 3.18-3.49
Ti (0.3676, 0.1110, 0.0946)  5 S 2.29-2.53
Ti (0.9353, 0.4489, 0.8050)  1 O 1.86
Ti (0.5511, 0.0647, 0.6950)  1 O 1.86
Ti (0.1739, 0.1739, 0.0000)  6 S 2.33-2.58
Ti (0.1110, 0.3676, 0.9054)  5 S 2.29-2.53
Ti (0.6324, 0.8890, 0.5946)  5 S 2.29-2.53
Ti (0.8890, 0.6324, 0.4054)  5 S 2.29-2.53
Ti (0.8261, 0.8261, 0.5000)  6 S 2.33-2.58
Ti (0.4489, 0.9353, 0.1950)  1 O 1.86
Ti (0.0647, 0.5511, 0.3050)  1 O 1.86
S (0.6440, 0.9493, 0.4936)  2 Ti 2.43-2.47
S (0.2178, 0.6923, 0.8902)  1 Ti 2.29
S (0.7390, 0.2152, 0.8843)  2 Ti 2.42-2.53
S (0.3560, 0.0507, 0.9936)  2 Ti 2.43-2.47
S (0.2152, 0.7390, 0.1157)  2 Ti 2.42-2.53
S (0.8081, 0.6093, 0.8038)  1 Ti 2.28
S (0.0290, 0.0638, 0.5736)  1 Ti 2.33
S (0.6093, 0.8081, 0.1962)  1 Ti 2.28
S (0.4676, 0.4395, 0.0726)  2 Ti 2.38-2.58
S (0.0507, 0.3560, 0.0064)  2 Ti 2.43-2.47
S (0.7822, 0.3077, 0.3902)  1 Ti 2.29
S (0.3077, 0.7822, 0.6098)  1 Ti 2.29
S (0.2557, 0.7443, 0.7500)  2 Ti 2.48
S (0.9362, 0.9710, 0.9264)  1 Ti 2.33
S (0.8736, 0.6969, 0.3092)  2 Ti 2.40-2.67
S (0.6969, 0.8736, 0.6908)  2 Ti 2.40-2.67
S (0.2610, 0.7848, 0.3843)  2 Ti 2.42-2.53
S (0.9710, 0.9362, 0.0736)  1 Ti 2.33
S (0.1919, 0.3907, 0.3038)  1 Ti 2.28
S (0.5605, 0.5324, 0.4274)  2 Ti 2.38-2.58
S (0.7443, 0.2557, 0.2500)  2 Ti 2.48
S (0.3907, 0.1919, 0.6962)  1 Ti 2.28
S (0.9493, 0.6440, 0.5064)  2 Ti 2.43-2.47
S (0.0638, 0.0290, 0.4264)  1 Ti 2.33
S (0.6923, 0.2178, 0.1098)  1 Ti 2.29
S (0.1264, 0.3031, 0.8092)  2 Ti 2.40-2.67
S (0.4395, 0.4676, 0.9274)  2 Ti 2.38-2.58
S (0.5324, 0.5605, 0.5726)  2 Ti 2.38-2.58
S (0.7848, 0.2610, 0.6157)  2 Ti 2.42-2.53
S (0.3031, 0.1264, 0.1908)  2 Ti 2.40-2.67
O (0.7562, 0.2438, 0.7500)  2 Ti 1.86
O (0.2438, 0.7562, 0.2500)  2 Ti 1.86

=====

7.
The following is a DFT calculation (GGA-PBE) of a geometry-optimized Hf2FeIr structure.

Calculated values
E_form = -0.67 eV per atom
mass density = 14.898 Mg/m³

abc: 4.5688 4.5688 4.5688
angles: 60.00 60.00 60.00
Last column: nearest neighbours and their distance in Å.
Element x y z (fractional)
Hf (0.2500, 0.2500, 0.2500)  4 Fe 2.80, 4 Ir 2.80
Hf (0.7500, 0.7500, 0.7500)  4 Fe 2.80, 4 Ir 2.80
Fe (0.5000, 0.5000, 0.5000)  8 Hf 2.80
Ir (0.0000, 0.0000, 0.0000)  8 Hf 2.80

=====

8.
The following is a DFT calculation (GGA-PBE) of a geometry-optimized Nd2In3Cu structure.

Calculated values
E_form = -0.42 eV per atom
mass density = 7.477 Mg/m³

abc: 4.8068 4.8068 7.7298
angles: 90.00 90.00 120.00
Last column: nearest neighbours and their distance in Å.
Element x y z (fractional)
Nd (0.0000, 0.0000, 0.7252)  3 Cu 3.12, 6 In 3.23-3.35
Nd (0.0000, 0.0000, 0.2634)  6 In 3.23-3.25, 3 Cu 3.51, 1 Nd 3.57
In (0.3333, 0.6667, 0.4833)  3 Cu 2.81
In (0.3333, 0.6667, 0.0497)  3 In 2.91, 3 Nd 3.23
In (0.6667, 0.3333, 0.9379)  3 In 2.91, 1 Cu 3.07, 3 Nd 3.23
Cu (0.6667, 0.3333, 0.5406)  4 In 2.81-3.07, 3 Nd 3.12